Record 1
Here is crystalline K6HgSe4 at its relaxed geometry from the Materials Project database. Energies are from r²SCAN. Values from VASP.

Final energy   -14.1625 eV per atom
Energy of formation   -1.19 eV per atom
Space group   P6_3mc (186)

Geometry as Quantum ESPRESSO input:
```
&SYSTEM
  ibrav = 0, nat = 22, ntyp = 3
/
ATOMIC_SPECIES
Se 78.96 Se.upf
K 39.10 K.upf
Hg 200.59 Hg.upf
CELL_PARAMETERS angstrom
1.919 3.035 -9.774
-9.794 -1.722 3.089
-0.631 7.604 2.237
ATOMIC_POSITIONS angstrom
Se -5.988 1.046 -0.851
Se -7.958 3.781 2.008
Se -4.596 2.192 -5.768
Se -2.399 6.433 -4.020
Se -7.129 5.093 -2.214
Se -3.728 4.525 0.673
Se -0.365 2.935 -7.103
Se -1.194 1.625 -2.881
K -5.608 5.928 3.074
K -8.923 6.480 0.260
K -1.335 6.015 -0.880
K -8.174 0.552 1.628
K -2.769 1.502 -0.077
K -3.059 4.931 -6.951
K -4.801 7.205 -1.040
K -0.276 7.689 -6.274
K 0.255 4.379 -4.137
K -3.867 3.654 -2.837
K -5.681 6.739 -4.569
K -7.115 2.227 -3.766
Hg -1.986 1.459 -5.484
Hg -6.206 3.675 -0.077
```


Record 2
Here is crystalline LaHg3 at its relaxed geometry from the Materials Project database. Energies are from r²SCAN. Values from VASP.

Final energy   -44.9611 eV per atom
Energy of formation   -0.50 eV per atom
Space group   P6_3/mmc (194)

Geometry as Quantum ESPRESSO input:
```
&SYSTEM
  ibrav = 0, nat = 8, ntyp = 2
/
ATOMIC_SPECIES
Hg 200.59 Hg.upf
La 138.91 La.upf
CELL_PARAMETERS angstrom
6.915 0.000 0.000
-3.457 5.989 0.000
0.000 0.000 5.034
ATOMIC_POSITIONS angstrom
Hg 5.257 0.957 3.775
Hg -1.799 5.032 1.258
Hg 3.458 4.075 3.775
Hg 1.657 0.956 3.775
Hg 1.801 5.033 1.258
Hg -0.001 1.914 1.258
La 3.457 1.997 1.258
La 0.001 3.993 3.775
```


Record 3
Here is crystalline NaLaHg2 at its relaxed geometry from the Materials Project database. Energies are from r²SCAN. Values from VASP.

Final energy   -33.4791 eV per atom
Energy of formation   -0.47 eV per atom
Space group   Fm-3m (225)

Geometry as Quantum ESPRESSO input:
```
&SYSTEM
  ibrav = 0, nat = 4, ntyp = 3
/
ATOMIC_SPECIES
La 138.91 La.upf
Hg 200.59 Hg.upf
Na 22.99 Na.upf
CELL_PARAMETERS angstrom
-5.227 -0.774 0.646
-3.483 3.319 -2.277
-2.971 -1.659 -4.093
ATOMIC_POSITIONS angstrom
La -2.920 0.221 -1.431
Hg 0.000 0.000 0.000
Hg -5.841 0.443 -2.862
Na -8.761 0.664 -4.293
```


Record 4
Here is crystalline LaPrHg2 at its relaxed geometry from the Materials Project database. Energies are from r²SCAN. Values from VASP.

Final energy   -40.0388 eV per atom
Energy of formation   -0.57 eV per atom
Space group   Fm-3m (225)

Geometry as Quantum ESPRESSO input:
```
&SYSTEM
  ibrav = 0, nat = 4, ntyp = 3
/
ATOMIC_SPECIES
Hg 200.59 Hg.upf
La 138.91 La.upf
Pr 140.91 Pr.upf
CELL_PARAMETERS angstrom
-5.324 0.667 1.064
-2.655 4.363 -1.959
-3.685 -0.609 -3.996
ATOMIC_POSITIONS angstrom
Hg 0.000 0.000 0.000
Hg -5.832 2.210 -2.446
La -2.916 1.105 -1.223
Pr -8.748 3.316 -3.669
```


The highest energy of formation belongs to which entry?
NaLaHg2


Which of these has the highest final energy?
K6HgSe4